Arrangement 1

First-principles (PBE+U) data for an optimized crystal structure of Ca2TeWO6, as listed in the Materials Project database.

a b c (Å): 6.170 5.742 9.387
angles (deg): 57.65 90.00 90.00
Fractional coordinates of all 20 atoms:
Ca1 0.478 0.223 0.766
Ca2 0.978 0.777 0.734
Ca3 0.522 0.777 0.234
Ca4 0.022 0.223 0.266
Te1 0.500 0.000 0.500
Te2 0.000 0.000 0.000
W1 0.500 0.500 0.000
W2 0.000 0.500 0.500
O1 0.274 0.473 0.875
O2 0.774 0.527 0.625
O3 0.726 0.527 0.125
O4 0.226 0.473 0.375
O5 0.329 0.782 0.020
O6 0.829 0.218 0.480
O7 0.671 0.218 0.980
O8 0.171 0.782 0.520
O9 0.115 0.184 0.719
O10 0.615 0.816 0.781
O11 0.385 0.184 0.219
O12 0.885 0.816 0.281

## Properties
calculated density = 5.8 Mg/m³


Arrangement 2

First-principles (PBE+U) data for an optimized crystal structure of Ca2TeWO6, as listed in the Materials Project database.

a b c (Å): 5.602 5.922 6.028
angles (deg): 69.14 66.37 66.77
Fractional coordinates of all 10 atoms:
Ca1 0.684 0.700 0.915
Ca2 0.214 0.141 0.348
Te1 0.459 0.425 0.668
W1 0.999 0.032 0.960
O1 0.939 0.308 0.086
O2 0.068 0.852 0.718
O3 0.668 0.965 0.136
O4 0.218 0.796 0.149
O5 0.847 0.343 0.667
O6 0.387 0.103 0.693

## Properties
calculated density = 4.9 Mg/m³


Energetically preferred structure: arrangement 2 | next structure: +87 meV per atom


Arrangement 1

First-principles (PBE+U) data for an optimized crystal structure of CaTi3V5O16, as listed in the Materials Project database.

a b c (Å): 6.036 6.052 9.417
angles (deg): 90.83 89.62 120.45
Fractional coordinates of all 25 atoms:
Ca1 0.688 0.349 0.371
Ti1 0.198 0.848 0.187
Ti2 0.180 0.342 0.185
Ti3 0.326 0.123 0.712
V1 0.349 0.679 0.486
V2 0.691 0.838 0.198
V3 0.690 0.344 0.972
V4 0.863 0.191 0.699
V5 0.799 0.663 0.720
O1 0.165 0.830 0.599
O2 0.085 0.532 0.320
O3 0.351 0.668 0.088
O4 0.026 0.011 0.295
O5 0.004 0.010 0.805
O6 0.157 0.339 0.597
O7 0.484 0.949 0.323
O8 0.502 0.557 0.320
O9 0.369 0.182 0.102
O10 0.667 0.843 0.602
O11 0.530 0.490 0.832
O12 0.528 0.052 0.827
O13 0.661 0.336 0.603
O14 0.853 0.660 0.105
O15 0.955 0.486 0.827
O16 0.846 0.166 0.101

## Properties
calculated density = 3.9 Mg/m³


Arrangement 2

First-principles (PBE+U) data for an optimized crystal structure of CaTi3V5O16, as listed in the Materials Project database.

a b c (Å): 6.014 6.120 10.572
angles (deg): 89.26 91.18 121.55
Fractional coordinates of all 25 atoms:
Ca1 0.316 0.657 0.444
Ti1 0.056 0.751 0.156
Ti2 0.337 0.364 0.168
Ti3 0.334 0.167 0.692
V1 0.328 0.664 0.750
V2 0.659 0.995 0.173
V3 0.659 0.301 0.960
V4 0.823 0.159 0.707
V5 0.831 0.676 0.724
O1 0.167 0.827 0.626
O2 0.011 0.602 0.298
O3 0.352 0.676 0.116
O4 0.003 0.027 0.198
O5 0.996 0.983 0.803
O6 0.176 0.349 0.627
O7 0.592 0.014 0.324
O8 0.430 0.431 0.321
O9 0.401 0.099 0.087
O10 0.632 0.809 0.632
O11 0.509 0.462 0.825
O12 0.503 0.022 0.820
O13 0.659 0.345 0.618
O14 0.722 0.572 0.072
O15 0.967 0.488 0.819
O16 0.879 0.238 0.034

## Properties
calculated density = 3.5 Mg/m³


Energetically preferred structure: arrangement 1 | next structure: +53 meV per atom


Arrangement 1

First-principles (PBE+U) data for an optimized crystal structure of CaV4O6, as listed in the Materials Project database.

a b c (Å): 3.097 5.337 15.367
angles (deg): 89.41 90.00 73.13
Fractional coordinates of all 22 atoms:
Ca1 0.349 0.302 0.749
Ca2 0.651 0.698 0.251
V1 0.863 0.274 0.541
V2 0.598 0.805 0.635
V3 0.401 0.198 0.133
V4 0.599 0.802 0.867
V5 0.137 0.727 0.045
V6 0.864 0.273 0.955
V7 0.137 0.727 0.459
V8 0.403 0.195 0.365
O1 0.500 0.000 0.500
O2 0.500 0.000 0.000
O3 0.679 0.642 0.751
O4 0.321 0.358 0.249
O5 0.972 0.055 0.840
O6 0.027 0.945 0.160
O7 0.029 0.943 0.342
O8 0.971 0.057 0.658
O9 0.223 0.554 0.914
O10 0.777 0.446 0.086
O11 0.775 0.450 0.410
O12 0.225 0.550 0.590

## Properties
calculated density = 4.6 Mg/m³


Arrangement 2

First-principles (PBE+U) data for an optimized crystal structure of CaV4O6, as listed in the Materials Project database.

a b c (Å): 3.111 5.263 15.437
angles (deg): 90.00 90.00 72.81
Fractional coordinates of all 22 atoms:
Ca1 0.349 0.302 0.750
Ca2 0.651 0.698 0.250
V1 0.861 0.277 0.957
V2 0.861 0.277 0.543
V3 0.402 0.195 0.366
V4 0.402 0.195 0.134
V5 0.139 0.723 0.043
V6 0.139 0.723 0.457
V7 0.598 0.805 0.634
V8 0.598 0.805 0.866
O1 0.500 0.000 0.500
O2 0.500 0.000 0.000
O3 0.678 0.644 0.750
O4 0.322 0.356 0.250
O5 0.970 0.060 0.841
O6 0.030 0.940 0.159
O7 0.030 0.940 0.341
O8 0.970 0.060 0.659
O9 0.224 0.553 0.912
O10 0.776 0.447 0.088
O11 0.776 0.447 0.412
O12 0.224 0.553 0.588

## Properties
calculated density = 4.7 Mg/m³


Energetically preferred structure: arrangement 2 | next structure: +16 meV per atom